No. 1
The following is a DFT calculation (PBE) of a relaxed LaNb3Si3S3O24 crystal.

- Volume: 16.44 Å³ per atom
- DFT formation energy: -8867.0 kJ/mol of formula units
- Total energy after the MP2020 corrections: -8.076 eV/atom
- Raw total energy: -258.1 eV per formula unit
- Crystal system: triclinic

CIF file:
```
data_LaNb3Si3S3O24
_chemical_formula_sum 'La3 Nb9 Si9 S9 O72'
_space_group_name_H-M_alt 'P 1'
_space_group_IT_number 1
_cell_length_a 9.102
_cell_length_b 9.103
_cell_length_c 23.360
_cell_angle_alpha 89.50
_cell_angle_beta 89.40
_cell_angle_gamma 60.06
loop_
_space_group_symop_operation_xyz
'x,y,z'
loop_
_atom_site_label
_atom_site_type_symbol
_atom_site_fract_x
_atom_site_fract_y
_atom_site_fract_z
La1 La 0.000 0.000 0.000
La2 La 0.012 0.001 0.514
La3 La 0.665 0.672 0.328
Nb1 Nb 0.013 0.991 0.722
Nb2 Nb 0.018 0.007 0.219
Nb3 Nb 0.328 0.328 0.678
Nb4 Nb 0.339 0.331 0.886
Nb5 Nb 0.347 0.327 0.383
Nb6 Nb 0.351 0.337 0.172
Nb7 Nb 0.668 0.658 0.047
Nb8 Nb 0.675 0.676 0.558
Nb9 Nb 0.694 0.665 0.836
Si1 Si 0.012 0.709 0.617
Si2 Si 0.057 0.326 0.782
Si3 Si 0.295 0.006 0.616
Si4 Si 0.298 0.718 0.113
Si5 Si 0.318 0.076 0.277
Si6 Si 0.624 0.058 0.781
Si7 Si 0.632 0.312 0.276
Si8 Si 0.653 0.403 0.939
Si9 Si 0.960 0.655 0.944
S1 S 0.002 0.306 0.115
S2 S 0.075 0.626 0.277
S3 S 0.338 0.624 0.780
S4 S 0.391 0.651 0.446
S5 S 0.406 0.956 0.943
S6 S 0.653 0.969 0.447
S7 S 0.700 0.309 0.617
S8 S 0.710 0.000 0.115
S9 S 0.968 0.397 0.446
O1 O 0.033 0.164 0.765
O2 O 0.041 0.773 0.557
O3 O 0.044 0.204 0.064
O4 O 0.059 0.798 0.270
O5 O 0.138 0.389 0.439
O6 O 0.140 0.342 0.129
O7 O 0.141 0.480 0.932
O8 O 0.146 0.361 0.725
O9 O 0.147 0.058 0.267
O10 O 0.158 0.525 0.225
O11 O 0.167 0.525 0.634
O12 O 0.174 0.548 0.330
O13 O 0.178 0.798 0.772
O14 O 0.180 0.302 0.835
O15 O 0.187 0.785 0.057
O16 O 0.192 0.849 0.168
O17 O 0.195 0.973 0.669
O18 O 0.196 0.053 0.557
O19 O 0.217 0.793 0.452
O20 O 0.236 0.981 0.947
O21 O 0.294 0.191 0.336
O22 O 0.302 0.551 0.831
O23 O 0.320 0.185 0.223
O24 O 0.331 0.528 0.132
O25 O 0.338 0.156 0.632
O26 O 0.364 0.522 0.729
O27 O 0.380 0.491 0.438
O28 O 0.396 0.126 0.939
O29 O 0.467 0.678 0.395
O30 O 0.480 0.656 0.787
O31 O 0.481 0.389 0.930
O32 O 0.482 0.897 0.280
O33 O 0.486 0.140 0.440
O34 O 0.487 0.700 0.102
O35 O 0.487 0.832 0.600
O36 O 0.490 0.856 0.892
O37 O 0.495 0.631 0.498
O38 O 0.504 0.159 0.726
O39 O 0.505 0.874 0.997
O40 O 0.509 0.335 0.222
O41 O 0.527 0.349 0.631
O42 O 0.529 0.181 0.836
O43 O 0.529 0.298 0.335
O44 O 0.530 0.148 0.127
O45 O 0.629 0.518 0.000
O46 O 0.633 0.883 0.499
O47 O 0.643 0.871 0.791
O48 O 0.652 0.474 0.279
O49 O 0.660 0.515 0.886
O50 O 0.679 0.872 0.395
O51 O 0.690 0.481 0.604
O52 O 0.692 0.849 0.107
O53 O 0.756 0.213 0.563
O54 O 0.763 0.051 0.063
O55 O 0.787 0.012 0.454
O56 O 0.811 0.139 0.263
O57 O 0.812 0.034 0.765
O58 O 0.820 0.228 0.947
O59 O 0.820 0.230 0.664
O60 O 0.820 0.978 0.165
O61 O 0.836 0.689 0.602
O62 O 0.842 0.474 0.108
O63 O 0.842 0.676 0.887
O64 O 0.856 0.638 0.001
O65 O 0.867 0.496 0.789
O66 O 0.870 0.474 0.394
O67 O 0.879 0.502 0.498
O68 O 0.906 0.647 0.280
O69 O 0.971 0.218 0.166
O70 O 0.974 0.844 0.669
O71 O 0.976 0.819 0.945
O72 O 0.999 0.224 0.453
```



No. 2
The following is a DFT calculation (PBE) of a relaxed KNb3F9 crystal.

- Volume: 17.63 Å³ per atom
- DFT formation energy: -3485.5 kJ/mol of formula units
- Total energy after the MP2020 corrections: -6.521 eV/atom
- Raw total energy: -80.6 eV per formula unit
- Crystal system: orthorhombic

CIF file:
```
data_KNb3F9
_chemical_formula_sum 'K4 Nb12 F36'
_space_group_name_H-M_alt 'C 2 2 21'
_space_group_IT_number 20
_cell_length_a 7.943
_cell_length_b 13.777
_cell_length_c 8.376
_cell_angle_alpha 90.00
_cell_angle_beta 90.00
_cell_angle_gamma 90.00
loop_
_space_group_symop_operation_xyz
'x,y,z'
'-x,-y,z+1/2'
'x,-y,-z'
'-x,y,-z+1/2'
'x+1/2,y+1/2,z'
'-x+1/2,-y+1/2,z+1/2'
'x+1/2,-y+1/2,-z'
'-x+1/2,y+1/2,-z+1/2'
loop_
_atom_site_label
_atom_site_type_symbol
_atom_site_fract_x
_atom_site_fract_y
_atom_site_fract_z
K1 K 0.000 0.002 0.250
Nb1 Nb 0.001 0.500 0.500
Nb2 Nb 0.249 0.250 0.993
F1 F 0.000 0.192 0.029
F2 F 0.000 0.487 0.250
F3 F 0.214 0.405 0.517
F4 F 0.214 0.405 0.979
F5 F 0.224 0.233 0.743
```



No. 3
The following is a DFT calculation (PBE) of a relaxed Li2SnAu crystal.

- Volume: 17.55 Å³ per atom
- DFT formation energy: -203.6 kJ/mol of formula units
- Raw total energy: -13.2 eV per formula unit
- Crystal system: cubic

CIF file:
```
data_Li2SnAu
_chemical_formula_sum 'Li8 Sn4 Au4'
_space_group_name_H-M_alt 'F -4 3 m'
_space_group_IT_number 216
_space_group_name_Hall 'F -4 2 3'
_cell_length_a 6.549
_cell_length_b 6.549
_cell_length_c 6.549
_cell_angle_alpha 90.00
_cell_angle_beta 90.00
_cell_angle_gamma 90.00
loop_
_atom_site_label
_atom_site_type_symbol
_atom_site_fract_x
_atom_site_fract_y
_atom_site_fract_z
Li1 Li 0.000 0.000 0.000
Li2 Li 0.250 0.250 0.250
Sn1 Sn 0.000 0.000 0.500
Au1 Au 0.250 0.250 0.750
```



No. 4
The following is a DFT calculation (PBE) of a relaxed Na4YTa3Si4P2O24 crystal.

- Volume: 14.20 Å³ per atom
- DFT formation energy: -11380.4 kJ/mol of formula units
- Total energy after the MP2020 corrections: -8.330 eV/atom
- Raw total energy: -300.1 eV per formula unit
- Crystal system: triclinic

CIF file:
```
data_Na4YTa3Si4P2O24
_chemical_formula_sum 'Na12 Y3 Ta9 Si12 P6 O72'
_space_group_name_H-M_alt 'P 1'
_space_group_IT_number 1
_cell_length_a 9.037
_cell_length_b 9.040
_cell_length_c 22.837
_cell_angle_alpha 90.04
_cell_angle_beta 90.02
_cell_angle_gamma 119.84
loop_
_space_group_symop_operation_xyz
'x,y,z'
loop_
_atom_site_label
_atom_site_type_symbol
_atom_site_fract_x
_atom_site_fract_y
_atom_site_fract_z
Na1 Na 0.000 0.000 0.000
Na2 Na 0.001 0.006 0.491
Na3 Na 0.006 0.345 0.241
Na4 Na 0.292 0.952 0.578
Na5 Na 0.329 0.650 0.659
Na6 Na 0.336 0.028 0.912
Na7 Na 0.348 0.657 0.160
Na8 Na 0.348 0.979 0.242
Na9 Na 0.667 0.333 0.329
Na10 Na 0.673 0.696 0.579
Na11 Na 0.678 0.328 0.823
Na12 Na 0.694 0.644 0.909
Y1 Y 0.674 0.323 0.971
Y2 Y 0.998 0.986 0.143
Y3 Y 0.999 0.997 0.640
Ta1 Ta 0.005 0.990 0.842
Ta2 Ta 0.325 0.650 0.015
Ta3 Ta 0.332 0.652 0.803
Ta4 Ta 0.333 0.652 0.511
Ta5 Ta 0.336 0.655 0.310
Ta6 Ta 0.660 0.320 0.680
Ta7 Ta 0.664 0.316 0.467
Ta8 Ta 0.666 0.325 0.179
Ta9 Ta 0.999 0.987 0.348
Si1 Si 0.000 0.695 0.244
Si2 Si 0.044 0.363 0.409
Si3 Si 0.049 0.661 0.907
Si4 Si 0.294 0.285 0.244
Si5 Si 0.298 0.988 0.740
Si6 Si 0.320 0.362 0.908
Si7 Si 0.328 0.944 0.410
Si8 Si 0.383 0.327 0.573
Si9 Si 0.628 0.659 0.411
Si10 Si 0.663 0.033 0.573
Si11 Si 0.703 0.984 0.243
Si12 Si 0.705 0.691 0.741
P1 P 0.376 0.024 0.074
P2 P 0.619 0.931 0.908
P3 P 0.659 0.613 0.073
P4 P 0.952 0.596 0.574
P5 P 0.966 0.328 0.076
P6 P 0.997 0.284 0.744
O1 O 0.028 0.177 0.401
O2 O 0.037 0.840 0.901
O3 O 0.039 0.220 0.689
O4 O 0.064 0.817 0.189
O5 O 0.135 0.481 0.352
O6 O 0.136 0.619 0.569
O7 O 0.144 0.501 0.071
O8 O 0.148 0.173 0.901
O9 O 0.153 0.465 0.755
O10 O 0.155 0.649 0.852
O11 O 0.158 0.657 0.256
O12 O 0.159 0.963 0.402
O13 O 0.168 0.463 0.466
O14 O 0.171 0.690 0.966
O15 O 0.174 0.222 0.188
O16 O 0.194 0.952 0.681
O17 O 0.195 0.017 0.797
O18 O 0.198 0.997 0.079
O19 O 0.202 0.150 0.299
O20 O 0.204 0.154 0.574
O21 O 0.304 0.463 0.967
O22 O 0.307 0.826 0.468
O23 O 0.324 0.476 0.256
O24 O 0.326 0.827 0.754
O25 O 0.349 0.488 0.854
O26 O 0.355 0.851 0.353
O27 O 0.371 0.846 0.070
O28 O 0.372 0.504 0.569
O29 O 0.455 0.119 0.017
O30 O 0.481 0.294 0.232
O31 O 0.481 0.846 0.570
O32 O 0.484 0.335 0.910
O33 O 0.487 0.163 0.736
O34 O 0.489 0.621 0.071
O35 O 0.490 0.316 0.518
O36 O 0.493 0.124 0.128
O37 O 0.500 0.134 0.416
O38 O 0.502 0.632 0.355
O39 O 0.505 0.355 0.632
O40 O 0.506 0.832 0.255
O41 O 0.509 0.841 0.854
O42 O 0.513 0.661 0.755
O43 O 0.533 0.684 0.469
O44 O 0.534 0.820 0.964
O45 O 0.631 0.106 0.910
O46 O 0.642 0.133 0.632
O47 O 0.644 0.493 0.127
O48 O 0.648 0.490 0.417
O49 O 0.674 0.534 0.016
O50 O 0.679 0.151 0.517
O51 O 0.687 0.162 0.233
O52 O 0.697 0.505 0.736
O53 O 0.768 0.943 0.185
O54 O 0.769 0.795 0.681
O55 O 0.797 0.945 0.902
O56 O 0.812 0.790 0.078
O57 O 0.812 0.830 0.401
O58 O 0.819 0.996 0.573
O59 O 0.829 0.503 0.232
O60 O 0.832 0.798 0.798
O61 O 0.835 0.298 0.738
O62 O 0.839 0.028 0.298
O63 O 0.843 0.508 0.520
O64 O 0.856 0.346 0.417
O65 O 0.857 0.505 0.907
O66 O 0.866 0.313 0.021
O67 O 0.866 0.491 0.630
O68 O 0.872 0.347 0.132
O69 O 0.966 0.790 0.300
O70 O 0.971 0.775 0.577
O71 O 0.974 0.163 0.797
O72 O 0.997 0.179 0.079
```



No. 5
The following is a DFT calculation (PBE) of a relaxed Ac3Nd crystal.

- Volume: 42.75 Å³ per atom
- DFT formation energy: 17.4 kJ/mol of formula units
- Raw total energy: -17.0 eV per formula unit
- Crystal system: hexagonal

CIF file:
```
data_Ac3Nd
_chemical_formula_sum 'Ac6 Nd2'
_space_group_name_H-M_alt 'P 63/m m c'
_space_group_IT_number 194
_space_group_name_Hall '-P 6c 2c'
_cell_length_a 7.8851
_cell_length_b 7.8851
_cell_length_c 6.3513
_cell_angle_alpha 90.00
_cell_angle_beta 90.00
_cell_angle_gamma 120.00
loop_
_atom_site_label
_atom_site_type_symbol
_atom_site_fract_x
_atom_site_fract_y
_atom_site_fract_z
Ac1 Ac 0.1682 0.3365 0.2500
Nd1 Nd 0.3333 0.6667 0.7500
```



No. 6
The following is a DFT calculation (PBE) of a relaxed KCa3 crystal.

- Volume: 47.40 Å³ per atom
- DFT formation energy: 64.7 kJ/mol of formula units
- Raw total energy: -6.5 eV per formula unit
- Crystal system: tetragonal

CIF file:
```
data_KCa3
_chemical_formula_sum 'K2 Ca6'
_space_group_name_H-M_alt 'I 4/m m m'
_space_group_IT_number 139
_space_group_name_Hall '-I 4 2'
_cell_length_a 5.702
_cell_length_b 5.702
_cell_length_c 11.660
_cell_angle_alpha 90.00
_cell_angle_beta 90.00
_cell_angle_gamma 90.00
loop_
_atom_site_label
_atom_site_type_symbol
_atom_site_fract_x
_atom_site_fract_y
_atom_site_fract_z
K1 K 0.000 0.000 0.000
Ca1 Ca 0.000 0.000 0.500
Ca2 Ca 0.000 0.500 0.250
```



No. 7
The following is a DFT calculation (PBE) of a relaxed MgCu2Rh4S8 crystal.

- Volume: 16.89 Å³ per atom
- DFT formation energy: -1084.0 kJ/mol of formula units
- Total energy after the MP2020 corrections: -5.572 eV/atom
- Raw total energy: -79.6 eV per formula unit
- Crystal system: trigonal

CIF file:
```
data_MgCu2Rh4S8
_chemical_formula_sum 'Mg3 Cu6 Rh12 S24'
_space_group_name_H-M_alt 'R -3 m'
_space_group_IT_number 166
_space_group_name_Hall '-R 3 2"'
_cell_length_a 7.0090
_cell_length_b 7.0090
_cell_length_c 17.8663
_cell_angle_alpha 90.00
_cell_angle_beta 90.00
_cell_angle_gamma 120.00
loop_
_atom_site_label
_atom_site_type_symbol
_atom_site_fract_x
_atom_site_fract_y
_atom_site_fract_z
Mg1 Mg 0.0000 0.0000 0.0000
Cu1 Cu 0.0000 0.0000 0.1407
Rh1 Rh 0.0000 0.0000 0.5000
Rh2 Rh 0.0000 0.5000 0.0000
S1 S 0.0000 0.0000 0.2648
S2 S 0.0290 0.5145 0.2532
```



No. 8
The following is a DFT calculation (PBE) of a relaxed EuInGe crystal.

- Volume: 26.47 Å³ per atom
- DFT formation energy: -140.6 kJ/mol of formula units
- Raw total energy: -19.1 eV per formula unit
- Crystal system: orthorhombic

CIF file:
```
data_EuInGe
_chemical_formula_sum 'Eu4 In4 Ge4'
_space_group_name_H-M_alt 'P 21 21 21'
_space_group_IT_number 19
_cell_length_a 4.009
_cell_length_b 4.888
_cell_length_c 16.209
_cell_angle_alpha 90.00
_cell_angle_beta 90.00
_cell_angle_gamma 90.00
loop_
_space_group_symop_operation_xyz
'x,y,z'
'-x+1/2,-y,z+1/2'
'x+1/2,-y+1/2,-z'
'-x,y+1/2,-z+1/2'
loop_
_atom_site_label
_atom_site_type_symbol
_atom_site_fract_x
_atom_site_fract_y
_atom_site_fract_z
Eu1 Eu 0.004 0.230 0.393
In1 In 0.100 0.749 0.710
Ge1 Ge 0.000 0.322 0.957
```



No. 9
The following is a DFT calculation (PBE) of a relaxed Pr9Al5Se21 crystal.

- Volume: 26.38 Å³ per atom
- DFT formation energy: -6135.9 kJ/mol of formula units
- Total energy after the MP2020 corrections: -5.679 eV/atom
- Raw total energy: -188.9 eV per formula unit
- Crystal system: trigonal

CIF file:
```
data_Pr9Al5Se21
_chemical_formula_sum 'Pr54 Al30 Se126'
_space_group_name_H-M_alt 'R 3'
_space_group_IT_number 146
_space_group_name_Hall 'R 3'
_cell_length_a 18.1188
_cell_length_b 18.1188
_cell_length_c 19.4877
_cell_angle_alpha 90.00
_cell_angle_beta 90.00
_cell_angle_gamma 120.00
loop_
_atom_site_label
_atom_site_type_symbol
_atom_site_fract_x
_atom_site_fract_y
_atom_site_fract_z
Pr1 Pr 0.0254 0.2002 0.0000
Pr2 Pr 0.0252 0.2029 0.3463
Pr3 Pr 0.0267 0.1986 0.6652
Pr4 Pr 0.1558 0.6929 0.5116
Pr5 Pr 0.1572 0.6849 0.8300
Pr6 Pr 0.1622 0.6983 0.1694
Al1 Al 0.0000 0.0000 0.2611
Al2 Al 0.0000 0.0000 0.4462
Al3 Al 0.0000 0.0000 0.7615
Al4 Al 0.0000 0.0000 0.9460
Al5 Al 0.0031 0.6634 0.9762
Al6 Al 0.0083 0.3367 0.8097
Se1 Se 0.0014 0.6696 0.4318
Se2 Se 0.0015 0.3342 0.9319
Se3 Se 0.0083 0.5508 0.5921
Se4 Se 0.0096 0.1250 0.2029
Se5 Se 0.0143 0.1199 0.8614
Se6 Se 0.0193 0.1324 0.5141
Se7 Se 0.0195 0.5509 0.9287
Se8 Se 0.0265 0.5640 0.2607
Se9 Se 0.1201 0.1064 0.3626
Se10 Se 0.1263 0.3422 0.0961
Se11 Se 0.1268 0.1126 0.7024
Se12 Se 0.1282 0.3598 0.4291
Se13 Se 0.1309 0.1146 0.0133
Se14 Se 0.1347 0.3532 0.7567
```



No. 10
The following is a DFT calculation (PBE) of a relaxed TmMn6GaGe5 crystal.

- Volume: 14.55 Å³ per atom
- DFT formation energy: -376.0 kJ/mol of formula units
- Raw total energy: -89.5 eV per formula unit
- Crystal system: hexagonal

CIF file:
```
data_TmMn6GaGe5
_chemical_formula_sum 'Tm1 Mn6 Ga1 Ge5'
_space_group_name_H-M_alt 'P 6 m m'
_space_group_IT_number 183
_space_group_name_Hall 'P 6 -2'
_cell_length_a 5.1875
_cell_length_b 5.1875
_cell_length_c 8.1181
_cell_angle_alpha 90.00
_cell_angle_beta 90.00
_cell_angle_gamma 120.00
loop_
_atom_site_label
_atom_site_type_symbol
_atom_site_fract_x
_atom_site_fract_y
_atom_site_fract_z
Tm1 Tm 0.0000 0.0000 0.0000
Mn1 Mn 0.0000 0.5000 0.2528
Mn2 Mn 0.0000 0.5000 0.7548
Ga1 Ga 0.0000 0.0000 0.6543
Ge1 Ge 0.0000 0.0000 0.3454
Ge2 Ge 0.3333 0.6667 0.0029
Ge3 Ge 0.3333 0.6667 0.5050
```



Look up the volume of the fifth one. 42.75 Å³ per atom